Entry 1:
RbCr5S8 (PBE, relaxed); formation enthalpy at 0 K = -1.091 eV per atom; final energy = -93.58 eV per formula unit
1.0
-7.808 -1.759 -4.552
-6.063 -4.768 -5.028
-5.233 -3.958 5.844
Rb S Cr
1 8 5
Direct
0.500 0.500 0.500
0.577 0.577 0.853
0.828 0.828 0.485
0.086 0.086 0.168
0.172 0.172 0.515
0.423 0.423 0.147
0.914 0.914 0.832
0.762 0.762 0.156
0.238 0.238 0.844
0.341 0.341 0.974
0.296 0.296 0.334
0.000 0.000 0.000
0.659 0.659 0.026
0.704 0.704 0.666

---

Entry 2:
TbGaCo (PBE, relaxed); formation enthalpy at 0 K = -0.466 eV per atom; final energy = -16.17 eV per formula unit
1.0
4.240 0.000 0.000
0.000 6.858 0.000
0.000 0.000 7.404
Co Ga Tb
4 4 4
Direct
0.250 0.296 0.100
0.750 0.204 0.600
0.750 0.704 0.900
0.250 0.796 0.400
0.750 0.828 0.578
0.750 0.328 0.922
0.250 0.172 0.422
0.250 0.672 0.078
0.250 0.019 0.809
0.750 0.481 0.309
0.750 0.981 0.191
0.250 0.519 0.691

---

Entry 3:
Ba3YF9 (PBE, relaxed); formation enthalpy at 0 K = -4.187 eV per atom; final energy = -79.73 eV per formula unit
1.0
-3.169 2.679 4.456
-6.379 -8.103 0.336
9.315 -6.886 10.765
F Ba Y
36 12 4
Direct
0.992 0.929 0.780
0.496 0.045 0.596
0.997 0.355 0.537
0.008 0.071 0.220
0.496 0.545 0.904
0.250 0.689 0.088
0.996 0.455 0.096
0.750 0.158 0.737
0.004 0.045 0.596
0.508 0.929 0.780
0.250 0.211 0.837
0.492 0.071 0.220
0.250 0.189 0.412
0.250 0.342 0.237
0.508 0.429 0.720
0.996 0.955 0.404
0.250 0.711 0.663
0.504 0.455 0.096
0.750 0.811 0.588
0.750 0.311 0.912
0.750 0.289 0.337
0.004 0.545 0.904
0.504 0.955 0.404
0.250 0.842 0.263
0.997 0.855 0.963
0.492 0.571 0.280
0.003 0.145 0.037
0.503 0.355 0.537
0.008 0.571 0.280
0.750 0.789 0.163
0.497 0.145 0.037
0.992 0.429 0.720
0.497 0.645 0.463
0.003 0.645 0.463
0.503 0.855 0.963
0.750 0.658 0.763
0.750 0.166 0.473
0.750 0.666 0.027
0.250 0.742 0.828
0.250 0.946 0.091
0.250 0.334 0.973
0.250 0.242 0.672
0.750 0.554 0.591
0.750 0.054 0.909
0.250 0.446 0.409
0.750 0.758 0.328
0.750 0.258 0.172
0.250 0.834 0.527
0.750 0.962 0.683
0.250 0.038 0.317
0.250 0.538 0.183
0.750 0.462 0.817